Record 1
Entry from the Materials Project database: a relaxed structure of FePO4 (PBE with a Hubbard U).

Cell and atoms, written as extended XYZ:
```
24
Lattice="-0.959 2.763 4.468 -0.475 -7.658 4.926 8.166 3.106 2.584" Properties=species:S:1:pos:R:3 pbc="T T T"
Fe -0.716 -2.450 4.697
Fe 3.006 -2.117 8.337
Fe -0.958 2.761 4.468
Fe 3.723 0.330 3.640
P 2.497 -2.279 5.135
P 6.219 -1.950 8.778
P 2.255 2.931 4.906
P 6.936 0.498 4.080
O 3.555 -3.388 4.939
O 7.275 -3.060 8.578
O 3.313 1.823 4.710
O 7.033 2.150 8.348
O 2.669 -1.166 4.076
O 6.391 -0.836 7.720
O 1.952 -3.613 8.773
O 7.108 1.611 3.022
O 2.674 -1.664 6.541
O 6.397 -1.334 10.184
O 3.391 0.783 1.844
O 7.114 1.113 5.487
O 1.089 -2.899 4.983
O 4.810 -2.567 8.629
O 0.847 2.311 4.754
O 5.527 -0.120 3.932
```

Largest piezoelectric modulus in C/m2: 0.4
VASP energy in hartree per atom: -0.261
Corrected total energy (MP2020 scheme) in eV per atom: -7.95


Record 2
Entry from the Materials Project database: a relaxed structure of FeP2O7 (PBE with a Hubbard U).

Cell and atoms, written as extended XYZ:
```
80
Lattice="-0.168 2.370 -12.746 6.543 -6.285 -1.255 -4.225 -8.616 -1.546" Properties=species:S:1:pos:R:3 pbc="T T T"
Fe -1.614 -7.460 -4.723
Fe 1.650 -9.358 -11.714
Fe 3.764 -5.072 -10.824
Fe 0.500 -3.173 -3.833
Fe -2.601 -9.979 -2.933
Fe 2.693 -7.646 -9.164
Fe 4.750 -2.553 -12.614
Fe -0.544 -4.886 -6.383
P -0.785 -10.427 -5.720
P 0.810 -6.235 -11.556
P 2.935 -2.105 -9.827
P 1.340 -6.297 -3.991
P 1.968 -4.745 -1.374
P 2.366 -4.496 -7.928
P 0.181 -7.787 -14.173
P -0.217 -8.036 -7.619
P -0.339 -0.028 -3.642
P 4.592 -8.072 -11.796
P 2.489 -12.504 -11.905
P -2.443 -4.460 -3.751
P -0.999 -1.520 -6.224
P 5.193 -5.749 -13.686
P 3.148 -11.012 -9.323
P -3.044 -6.783 -1.861
O -1.274 -9.453 -4.582
O 1.323 -7.550 -10.857
O 3.424 -3.078 -10.965
O 0.827 -4.982 -4.690
O 2.226 -2.604 -4.655
O 2.014 -5.316 -11.751
O -0.077 -9.928 -10.892
O 0.135 -7.216 -3.796
O 0.386 -11.287 -5.318
O -0.347 -5.582 -10.843
O 1.764 -1.245 -10.229
O 2.497 -6.950 -4.704
O -0.339 -9.487 -6.937
O 0.328 -6.677 -13.018
O 2.488 -3.044 -8.610
O 1.822 -5.855 -2.529
O -1.316 -7.895 -14.470
O 1.274 -7.821 -7.896
O 3.466 -4.636 -1.077
O 0.876 -4.711 -7.651
O 0.972 -2.787 -12.945
O 3.226 -4.531 -6.704
O 1.178 -9.745 -2.602
O -1.077 -8.001 -8.842
O 1.503 -3.397 -2.055
O 2.807 -5.507 -9.059
O 0.646 -9.135 -13.492
O -0.657 -7.025 -6.488
O 0.233 -1.347 -2.984
O 4.044 -7.080 -10.695
O 1.917 -11.185 -12.563
O -1.894 -5.452 -4.852
O -1.231 -3.802 -3.078
O 5.517 -4.748 -9.937
O 3.381 -8.730 -12.469
O -3.367 -7.783 -5.610
O 5.227 -5.607 -3.990
O -0.954 -2.767 -9.976
O -3.078 -6.925 -11.556
O 3.104 -9.765 -5.571
O 5.452 -6.820 -6.206
O -1.230 -0.840 -11.601
O -3.303 -5.712 -9.341
O 3.380 -11.692 -3.946
O 4.088 -7.987 -7.912
O 0.095 0.869 -12.808
O -1.939 -4.545 -7.635
O 2.054 -13.401 -2.739
O -0.103 -0.950 -7.283
O 4.436 -8.274 -2.110
O 2.253 -11.581 -8.264
O -2.287 -4.258 -13.437
O -2.540 -7.844 -2.923
O 2.623 -9.642 -9.920
O 4.690 -4.688 -12.624
O -0.473 -2.890 -5.627
```

E above lowest polymorph in eV per atom: 0.108
VASP energy in hartree per atom: -0.251
Corrected total energy (MP2020 scheme) in eV per atom: -7.55


Record 3
Entry from the Materials Project database: a relaxed structure of FePO4 (PBE with a Hubbard U).

Cell and atoms, written as extended XYZ:
```
48
Lattice="-1.493 3.931 -3.124 3.985 -5.018 -8.221 -12.583 -6.481 -2.142" Properties=species:S:1:pos:R:3 pbc="T T T"
Fe -3.065 -1.520 -1.051
Fe -12.522 -5.405 -5.678
Fe -5.992 -2.465 -5.099
Fe -7.662 -6.896 -5.619
Fe -2.361 -0.638 -7.856
Fe -10.371 -8.334 -9.455
Fe -3.841 -5.394 -8.876
Fe -6.958 -6.013 -12.424
P -8.373 -2.518 -2.926
P -10.207 -6.505 -3.779
P -3.613 -3.645 -3.332
P -0.334 -1.479 -5.462
P -6.596 -4.461 -7.487
P -9.548 -5.505 -10.677
P -2.954 -2.645 -10.230
P 1.444 -3.422 -10.022
O 0.833 -2.555 -11.148
O -1.013 1.480 -2.036
O -3.212 0.202 -1.822
O -10.438 -5.817 -2.415
O -7.592 -2.918 -4.200
O -6.098 -0.727 -5.828
O -4.236 0.979 -5.378
O -10.816 -5.666 -4.930
O -4.429 -2.545 -4.054
O -10.179 -2.700 -7.166
O -12.397 -3.958 -6.884
O -0.696 -0.439 -4.375
O -2.701 -4.397 -4.326
O -7.597 -5.440 -6.827
O -5.699 -3.783 -6.419
O -7.388 -3.366 -8.238
O -0.091 -2.858 -4.804
O 0.976 -1.021 -6.153
O -1.485 -1.609 -6.488
O -9.911 -4.470 -9.589
O -5.680 -5.216 -8.479
O -2.938 -6.311 -7.496
O -0.801 -5.327 -6.472
O -9.307 -6.901 -10.053
O -2.921 -3.780 -9.178
O -6.745 -9.005 -8.260
O -9.237 -9.542 -8.551
O 1.216 -2.736 -8.654
O -2.174 -3.050 -11.501
O -5.870 -7.251 -11.492
O -3.710 -6.283 -10.537
O -8.313 -3.668 -1.894
```

Largest piezoelectric modulus in C/m2: 0.2
VASP energy in hartree per atom: -0.261
Corrected total energy (MP2020 scheme) in eV per atom: -7.94


Record 4
Entry from the Materials Project database: a relaxed structure of Fe3P4O16 (PBE with a Hubbard U).

Cell and atoms, written as extended XYZ:
```
46
Lattice="11.810 0.000 0.000 0.000 6.012 0.000 0.000 1.604 8.741" Properties=species:S:1:pos:R:3 pbc="T T T"
Fe 1.019 6.561 6.615
Fe 10.966 3.872 2.424
Fe 2.393 1.368 3.157
Fe 5.060 3.744 6.317
Fe 6.924 1.055 2.126
Fe 8.298 6.248 5.584
P 10.192 5.243 7.974
P 4.893 6.757 5.280
P 4.287 2.373 0.767
P 1.082 3.524 5.120
P 10.798 0.859 3.461
P 7.436 2.294 7.862
P 1.531 5.322 0.879
P 6.987 4.092 3.621
O 10.492 2.051 2.527
O 6.633 6.969 7.872
O 2.588 5.768 1.929
O 5.684 3.828 4.429
O 6.655 3.499 7.317
O 3.916 3.726 8.028
O 4.587 5.565 6.215
O 5.246 1.293 1.314
O 8.943 5.210 7.082
O 6.792 5.198 2.552
O 10.844 3.841 8.064
O 2.096 6.594 8.231
O 11.151 6.323 7.427
O 9.822 3.890 0.713
O 4.442 1.969 6.109
O 1.473 4.859 5.813
O 10.347 5.648 2.632
O 3.966 6.689 4.047
O 0.497 0.816 3.847
O 8.112 4.560 4.580
O 0.887 2.418 6.189
O 2.207 3.056 4.161
O 0.750 4.117 1.424
O 0.728 0.647 0.869
O 11.589 3.788 4.312
O 4.939 3.775 0.677
O 7.378 2.757 2.928
O 8.001 1.022 0.510
O 3.038 2.406 1.659
O 8.493 1.848 6.813
O 9.871 0.928 4.694
O 6.402 6.800 4.894
```

E above lowest polymorph in eV per atom: 0.071
VASP energy in hartree per atom: -0.249
Corrected total energy (MP2020 scheme) in eV per atom: -7.54


Record 5
Entry from the Materials Project database: a relaxed structure of FeP2O7 (PBE with a Hubbard U).

Cell and atoms, written as extended XYZ:
```
40
Lattice="6.166 0.002 -1.897 0.578 9.622 4.521 -0.003 0.032 9.675" Properties=species:S:1:pos:R:3 pbc="T T T"
Fe 2.454 2.441 5.237
Fe 4.272 7.273 7.002
Fe 4.934 7.501 3.037
Fe 1.818 2.184 9.178
P 2.827 4.476 7.902
P 0.569 1.987 2.569
P 5.660 2.923 4.989
P 3.903 5.230 4.356
P 2.475 9.311 11.519
P 6.183 7.704 9.649
P 1.068 6.779 7.249
P 4.278 0.382 0.698
O 2.891 3.125 7.137
O 3.495 1.661 0.429
O 5.183 4.465 4.962
O 2.334 7.618 7.412
O 3.276 8.038 11.763
O 0.429 6.922 5.871
O 2.440 0.563 5.879
O 4.032 5.385 7.736
O 0.765 1.694 1.086
O 3.836 6.580 5.115
O 1.693 0.454 8.308
O 4.295 9.151 6.343
O 5.065 9.224 3.919
O 4.391 2.089 4.818
O 6.306 2.752 6.364
O 5.731 0.863 1.228
O 2.692 4.326 4.524
O 1.024 8.824 10.994
O 1.542 5.238 7.303
O 4.919 7.826 8.815
O 6.012 7.972 11.140
O 2.468 4.063 9.339
O 6.243 7.022 6.490
O 0.484 2.696 5.743
O 4.259 5.630 2.915
O 0.635 6.298 11.417
O 1.822 1.891 3.417
O 6.100 3.388 0.782
```

E above lowest polymorph in eV per atom: 0.038
VASP energy in hartree per atom: -0.254
Corrected total energy (MP2020 scheme) in eV per atom: -7.62


Record 6
Entry from the Materials Project database: a relaxed structure of FePO4 (PBE with a Hubbard U).

Cell and atoms, written as extended XYZ:
```
48
Lattice="8.921 0.000 0.000 0.000 9.350 0.000 0.000 0.000 9.788" Properties=species:S:1:pos:R:3 pbc="T T T"
Fe 0.572 2.003 5.907
Fe 3.888 7.347 1.013
Fe 3.888 6.678 5.907
Fe 5.033 2.003 8.775
Fe 0.572 2.672 1.013
Fe 5.033 2.672 3.881
Fe 8.349 7.347 3.881
Fe 8.349 6.678 8.775
P 5.529 5.800 3.212
P 3.392 1.124 1.682
P 1.068 8.226 6.576
P 3.392 3.551 6.576
P 5.529 8.226 8.106
P 7.853 3.551 8.106
P 7.853 1.124 3.212
P 1.068 5.800 1.682
O 5.366 6.506 1.845
O 7.906 5.078 7.885
O 4.551 1.571 0.754
O 4.370 6.246 4.140
O 1.015 0.403 6.797
O 4.551 3.104 5.649
O 8.830 7.779 5.649
O 2.426 6.165 1.050
O 8.015 1.831 1.845
O 0.091 3.104 9.034
O 6.495 1.490 3.844
O 0.905 6.506 3.049
O 3.555 1.831 3.049
O 5.366 7.520 6.740
O 4.370 7.779 9.034
O 2.034 1.490 1.050
O 1.015 4.272 1.903
O 2.034 3.185 5.944
O 0.091 1.571 4.140
O 6.495 3.185 8.738
O 2.426 7.860 5.944
O 3.445 8.947 1.903
O 8.015 2.845 6.740
O 7.906 8.947 2.991
O 6.887 7.860 8.738
O 6.887 6.165 3.844
O 8.830 6.246 0.754
O 5.476 0.403 7.885
O 5.476 4.272 2.991
O 3.555 2.845 7.943
O 3.445 5.078 6.797
O 0.905 7.520 7.943
```

VASP energy in hartree per atom: -0.261
Corrected total energy (MP2020 scheme) in eV per atom: -7.94


Record 7
Entry from the Materials Project database: a relaxed structure of FePO4 (PBE with a Hubbard U).

Cell and atoms, written as extended XYZ:
```
24
Lattice="7.567 0.000 0.000 0.000 5.605 0.000 0.000 4.660 8.135" Properties=species:S:1:pos:R:3 pbc="T T T"
Fe 2.337 4.454 4.557
Fe 6.121 8.142 7.645
Fe 5.230 5.812 3.578
Fe 1.446 2.123 0.490
P 3.441 7.237 5.940
P 4.126 3.028 2.195
P 0.343 4.907 1.873
P 7.225 5.358 6.262
O 6.488 5.754 4.983
O 2.646 8.286 5.149
O 6.430 4.309 7.054
O 4.859 7.727 6.242
O 4.863 3.424 0.916
O 7.364 6.639 7.194
O 2.704 6.841 7.219
O 3.987 4.309 3.127
O 1.075 4.868 5.961
O 1.080 4.511 3.152
O 1.137 5.956 1.081
O 4.921 1.979 2.986
O 3.581 5.956 5.008
O 2.708 2.538 1.893
O 6.492 5.397 2.174
O 0.203 3.626 0.941
```

VASP energy in hartree per atom: -0.261
Corrected total energy (MP2020 scheme) in eV per atom: -7.94


Record 8
Entry from the Materials Project database: a relaxed structure of FePO4 (PBE with a Hubbard U).

Cell and atoms, written as extended XYZ:
```
24
Lattice="5.351 0.000 0.000 0.000 8.735 0.000 0.000 2.685 8.384" Properties=species:S:1:pos:R:3 pbc="T T T"
Fe 1.642 2.306 1.089
Fe 4.308 4.904 5.279
Fe 3.708 6.673 1.089
Fe 1.043 9.272 5.279
P 3.704 10.705 6.356
P 4.300 3.731 2.158
P 1.646 6.337 6.356
P 1.050 8.098 2.158
O 1.227 0.464 1.081
O 2.259 1.878 5.814
O 3.364 2.546 1.822
O 0.408 3.223 2.184
O 4.086 3.464 6.484
O 3.945 4.313 3.541
O 4.124 4.832 1.081
O 1.537 5.678 7.739
O 0.694 5.623 5.368
O 3.091 6.245 5.814
O 1.986 6.914 1.822
O 4.943 7.591 2.184
O 1.264 7.832 6.484
O 1.406 8.681 3.541
O 3.814 10.046 7.739
O 4.657 9.990 5.368
```

Largest piezoelectric modulus in C/m2: 0.2
VASP energy in hartree per atom: -0.261
Corrected total energy (MP2020 scheme) in eV per atom: -7.94


Record 9
Entry from the Materials Project database: a relaxed structure of Fe2P3O13 (PBE with a Hubbard U).

Cell and atoms, written as extended XYZ:
```
36
Lattice="-6.232 3.619 1.142 -0.816 -5.025 -6.637 -3.570 -8.259 6.693" Properties=species:S:1:pos:R:3 pbc="T T T"
Fe -7.792 -2.811 -0.459
Fe -3.763 -9.025 3.415
Fe -6.785 -7.932 -1.672
Fe -2.936 0.337 1.191
P -8.171 -3.860 2.487
P -1.502 -3.623 -3.058
P -5.936 -4.963 -1.628
P -5.807 -7.311 4.938
P -4.389 -6.769 -3.342
P -7.236 -5.232 6.431
O -6.615 -3.588 -1.810
O -4.552 -7.353 4.040
O -7.742 -8.766 -0.144
O -3.145 -1.526 1.849
O -7.024 -6.035 -1.484
O -1.928 0.221 -0.440
O -6.147 -5.768 5.290
O -5.076 -5.301 -2.957
O -2.236 -6.452 0.263
O -6.604 0.895 -2.395
O -3.203 -6.952 -2.389
O -8.630 -5.529 5.867
O -7.422 -0.933 -0.745
O -3.069 -8.441 1.706
O -4.632 -2.821 3.478
O -4.214 -2.747 -5.601
O -7.408 -3.401 3.695
O -2.354 -4.288 -4.100
O -7.028 -4.890 1.647
O -2.577 -2.436 -2.346
O -6.360 -4.087 0.775
O -5.972 -9.548 3.638
O -5.255 -8.289 -0.531
O -4.757 0.021 0.595
O -4.852 -4.948 -0.528
O -7.083 -7.768 4.196
```

E above lowest polymorph in eV per atom: 0.085
VASP energy in hartree per atom: -0.240
Corrected total energy (MP2020 scheme) in eV per atom: -6.89


Number 1: energy of formation -2334.5 meV/atom. Number 2: energy of formation -2154.7 meV/atom. Number 3: energy of formation -2324.3 meV/atom. Number 4: energy of formation -2054.4 meV/atom. Number 5: energy of formation -2224.1 meV/atom. Number 6: energy of formation -2326.1 meV/atom. Number 7: energy of formation -2324.9 meV/atom. Number 8: energy of formation -2327.6 meV/atom. Number 9: energy of formation -1472.8 meV/atom.